Record 1
# Ga2CoS4 PBE optimized geometry
data_Ga2CoS4
_chemical_formula_sum 'Ga4 Co2 S8'
_space_group_name_H-M_alt 'I -4'
_space_group_IT_number 82
_cell_length_a 5.292
_cell_length_b 5.292
_cell_length_c 10.514
_cell_angle_alpha 90.00
_cell_angle_beta 90.00
_cell_angle_gamma 90.00
loop_
_space_group_symop_operation_xyz
'x,y,z'
'y,-x,-z'
'-x,-y,z'
'-y,x,-z'
'x+1/2,y+1/2,z+1/2'
'y+1/2,-x+1/2,-z+1/2'
'-x+1/2,-y+1/2,z+1/2'
'-y+1/2,x+1/2,-z+1/2'
loop_
_atom_site_label
_atom_site_fract_x
_atom_site_fract_y
_atom_site_fract_z
Ga1 0.000 0.000 0.000
Ga2 0.000 0.500 0.250
Co1 0.000 0.000 0.500
S1 0.240 0.252 0.627
# DFT formation energy ... -820 meV per atom
# Largest piezoelectric modulus ... 0.130 C/m2
# Energy ... -4.777 eV/atom

***

Record 2
# Sm3GaCoS7 PBE optimized geometry
data_Sm3GaCoS7
_chemical_formula_sum 'Sm6 Ga2 Co2 S14'
_space_group_name_H-M_alt 'P 63'
_space_group_IT_number 173
_cell_length_a 9.7620
_cell_length_b 9.7620
_cell_length_c 6.1437
_cell_angle_alpha 90.00
_cell_angle_beta 90.00
_cell_angle_gamma 120.00
loop_
_space_group_symop_operation_xyz
'x,y,z'
'x-y,x,z+1/2'
'-y,x-y,z'
'-x,-y,z+1/2'
'-x+y,-x,z'
'y,-x+y,z+1/2'
loop_
_atom_site_label
_atom_site_fract_x
_atom_site_fract_y
_atom_site_fract_z
Sm1 0.1523 0.3728 0.0000
Ga1 0.3333 0.6667 0.5739
Co1 0.0000 0.0000 0.1798
S1 0.0884 0.5692 0.7257
S2 0.0917 0.2201 0.4222
S3 0.3333 0.6667 0.2074
# DFT formation energy ... -1761 meV per atom
# Energy ... -5.905 eV/atom

***

Record 3
# Sc2Ga8Co PBE optimized geometry
data_Sc2Ga8Co
_chemical_formula_sum 'Sc2 Ga8 Co1'
_space_group_name_H-M_alt 'P 4/m m m'
_space_group_IT_number 123
_space_group_name_Hall '-P 4 2'
_cell_length_a 4.143
_cell_length_b 4.143
_cell_length_c 10.718
_cell_angle_alpha 90.00
_cell_angle_beta 90.00
_cell_angle_gamma 90.00
loop_
_atom_site_label
_atom_site_fract_x
_atom_site_fract_y
_atom_site_fract_z
Sc1 0.000 0.000 0.192
Ga1 0.000 0.500 0.000
Ga2 0.000 0.500 0.379
Ga3 0.500 0.500 0.195
Co1 0.000 0.000 0.500
# DFT formation energy ... -466 meV per atom
# Energy ... -4.466 eV/atom

***

Record 4
# ScGa5Co PBE optimized geometry
data_ScGa5Co
_chemical_formula_sum 'Sc1 Ga5 Co1'
_space_group_name_H-M_alt 'P 4/m m m'
_space_group_IT_number 123
_space_group_name_Hall '-P 4 2'
_cell_length_a 4.156
_cell_length_b 4.156
_cell_length_c 6.624
_cell_angle_alpha 90.00
_cell_angle_beta 90.00
_cell_angle_gamma 90.00
loop_
_atom_site_label
_atom_site_fract_x
_atom_site_fract_y
_atom_site_fract_z
Sc1 0.000 0.000 0.000
Ga1 0.000 0.500 0.303
Ga2 0.500 0.500 0.000
Co1 0.000 0.000 0.500
# DFT formation energy ... -448 meV per atom
# Energy ... -4.531 eV/atom

***

Record 5
# Sm3GaCoSe7 PBE optimized geometry
data_Sm3GaCoSe7
_chemical_formula_sum 'Sm6 Ga2 Co2 Se14'
_space_group_name_H-M_alt 'P 63'
_space_group_IT_number 173
_cell_length_a 10.1699
_cell_length_b 10.1699
_cell_length_c 6.4617
_cell_angle_alpha 90.00
_cell_angle_beta 90.00
_cell_angle_gamma 120.00
loop_
_space_group_symop_operation_xyz
'x,y,z'
'x-y,x,z+1/2'
'-y,x-y,z'
'-x,-y,z+1/2'
'-x+y,-x,z'
'y,-x+y,z+1/2'
loop_
_atom_site_label
_atom_site_fract_x
_atom_site_fract_y
_atom_site_fract_z
Sm1 0.1580 0.7850 0.0000
Ga1 0.3333 0.6667 0.4212
Co1 0.0000 0.0000 0.3250
Se1 0.0832 0.5201 0.2720
Se2 0.0968 0.8721 0.5811
Se3 0.3333 0.6667 0.7923
# DFT formation energy ... -1573 meV per atom
# Energy ... -5.362 eV/atom

***

Record 6
# Ti4GaCo2Si PBE optimized geometry
data_Ti4GaCo2Si
_chemical_formula_sum 'Ti12 Ga3 Co6 Si3'
_space_group_name_H-M_alt 'R 3 m'
_space_group_IT_number 160
_space_group_name_Hall 'R 3 -2"'
_cell_length_a 4.3003
_cell_length_b 4.3003
_cell_length_c 21.0491
_cell_angle_alpha 90.00
_cell_angle_beta 90.00
_cell_angle_gamma 120.00
loop_
_atom_site_label
_atom_site_fract_x
_atom_site_fract_y
_atom_site_fract_z
Ti1 0.0000 0.0000 0.0000
Ti2 0.0000 0.0000 0.1239
Ti3 0.0000 0.0000 0.4985
Ti4 0.0000 0.0000 0.6247
Ga1 0.0000 0.0000 0.8746
Co1 0.0000 0.0000 0.2526
Co2 0.0000 0.0000 0.7461
Si1 0.0000 0.0000 0.3736
# DFT formation energy ... -309 meV per atom
# Energy ... -7.099 eV/atom

***

Record 7
# Ti8GaCo4Si3 PBE optimized geometry
data_Ti8GaCo4Si3
_chemical_formula_sum 'Ti24 Ga3 Co12 Si9'
_space_group_name_H-M_alt 'R 3 m'
_space_group_IT_number 160
_space_group_name_Hall 'R 3 -2"'
_cell_length_a 4.2779
_cell_length_b 4.2779
_cell_length_c 41.6931
_cell_angle_alpha 90.00
_cell_angle_beta 90.00
_cell_angle_gamma 120.00
loop_
_atom_site_label
_atom_site_fract_x
_atom_site_fract_y
_atom_site_fract_z
Ti1 0.0000 0.0000 0.0000
Ti2 0.0000 0.0000 0.0621
Ti3 0.0000 0.0000 0.2488
Ti4 0.0000 0.0000 0.3121
Ti5 0.0000 0.0000 0.4990
Ti6 0.0000 0.0000 0.5617
Ti7 0.0000 0.0000 0.7493
Ti8 0.0000 0.0000 0.8119
Ga1 0.0000 0.0000 0.9371
Co1 0.0000 0.0000 0.1245
Co2 0.0000 0.0000 0.3747
Co3 0.0000 0.0000 0.6263
Co4 0.0000 0.0000 0.8727
Si1 0.0000 0.0000 0.1862
Si2 0.0000 0.0000 0.4365
Si3 0.0000 0.0000 0.6869
# DFT formation energy ... -326 meV per atom
# Energy ... -7.270 eV/atom

***

Record 8
# Sm6GaCo2 PBE optimized geometry
data_Sm6GaCo2
_chemical_formula_sum 'Sm24 Ga4 Co8'
_space_group_name_H-M_alt 'I m m m'
_space_group_IT_number 71
_space_group_name_Hall '-I 2 2'
_cell_length_a 9.426
_cell_length_b 9.788
_cell_length_c 10.027
_cell_angle_alpha 90.00
_cell_angle_beta 90.00
_cell_angle_gamma 90.00
loop_
_atom_site_label
_atom_site_fract_x
_atom_site_fract_y
_atom_site_fract_z
Sm1 0.000 0.196 0.237
Sm2 0.187 0.500 0.175
Sm3 0.219 0.320 0.500
Ga1 0.000 0.000 0.000
Ga2 0.000 0.000 0.500
Co1 0.000 0.335 0.000
Co2 0.000 0.500 0.387
# DFT formation energy ... -219 meV per atom
# Energy ... -5.281 eV/atom

***

Record 9
# Sm8Ga3Co PBE optimized geometry
data_Sm8Ga3Co
_chemical_formula_sum 'Sm16 Ga6 Co2'
_space_group_name_H-M_alt 'P 63 m c'
_space_group_IT_number 186
_space_group_name_Hall 'P 6c -2c'
_cell_length_a 10.3479
_cell_length_b 10.3479
_cell_length_c 6.9734
_cell_angle_alpha 90.00
_cell_angle_beta 90.00
_cell_angle_gamma 120.00
loop_
_atom_site_label
_atom_site_fract_x
_atom_site_fract_y
_atom_site_fract_z
Sm1 0.0000 0.0000 0.1139
Sm2 0.0712 0.5356 0.1198
Sm3 0.1716 0.3432 0.8290
Sm4 0.3333 0.6667 0.5000
Ga1 0.1639 0.3279 0.3643
Co1 0.3333 0.6667 0.8918
# DFT formation energy ... -351 meV per atom
# Energy ... -4.846 eV/atom

***

Record 10
# Sm4Ga16Co3 PBE optimized geometry
data_Sm4Ga16Co3
_chemical_formula_sum 'Sm4 Ga16 Co3'
_space_group_name_H-M_alt 'P 4/m m m'
_space_group_IT_number 123
_space_group_name_Hall '-P 4 2'
_cell_length_a 6.088
_cell_length_b 6.088
_cell_length_c 11.248
_cell_angle_alpha 90.00
_cell_angle_beta 90.00
_cell_angle_gamma 90.00
loop_
_atom_site_label
_atom_site_fract_x
_atom_site_fract_y
_atom_site_fract_z
Sm1 0.000 0.500 0.195
Ga1 0.000 0.000 0.195
Ga2 0.220 0.220 0.000
Ga3 0.250 0.250 0.386
Ga4 0.500 0.500 0.219
Co1 0.000 0.500 0.500
Co2 0.500 0.500 0.000
# DFT formation energy ... -513 meV per atom
# Energy ... -4.367 eV/atom

***

Record 11
# SmGaCo PBE optimized geometry
data_SmGaCo
_chemical_formula_sum 'Sm4 Ga4 Co4'
_space_group_name_H-M_alt 'C 1 2/m 1'
_space_group_IT_number 12
_cell_length_a 10.074
_cell_length_b 4.157
_cell_length_c 7.031
_cell_angle_alpha 90.00
_cell_angle_beta 129.30
_cell_angle_gamma 90.00
loop_
_space_group_symop_operation_xyz
'x,y,z'
'-x,-y,-z'
'-x,y,-z'
'x,-y,z'
'x+1/2,y+1/2,z'
'-x+1/2,-y+1/2,-z'
'-x+1/2,y+1/2,-z'
'x+1/2,-y+1/2,z'
loop_
_atom_site_label
_atom_site_fract_x
_atom_site_fract_y
_atom_site_fract_z
Sm1 0.062 0.000 0.310
Ga1 0.186 0.500 0.098
Co1 0.139 0.500 0.689
# DFT formation energy ... -404 meV per atom
# Energy ... -5.356 eV/atom

***

Record 12
# SmGaCo2 PBE optimized geometry
data_SmGaCo2
_chemical_formula_sum 'Sm6 Ga6 Co12'
_space_group_name_H-M_alt 'P -3 m 1'
_space_group_IT_number 164
_space_group_name_Hall '-P 3 2"'
_cell_length_a 5.2640
_cell_length_b 5.2640
_cell_length_c 16.4644
_cell_angle_alpha 90.00
_cell_angle_beta 90.00
_cell_angle_gamma 120.00
loop_
_atom_site_label
_atom_site_fract_x
_atom_site_fract_y
_atom_site_fract_z
Sm1 0.3333 0.6667 0.0385
Sm2 0.3333 0.6667 0.2437
Sm3 0.3333 0.6667 0.4685
Ga1 0.1657 0.3315 0.6355
Co1 0.0000 0.0000 0.0000
Co2 0.0000 0.0000 0.2403
Co3 0.0000 0.0000 0.5000
Co4 0.1622 0.3243 0.8748
Co5 0.3333 0.6667 0.7650
# DFT formation energy ... -235 meV per atom
# Energy ... -5.725 eV/atom